No. 1
This record from the Materials Project database describes a relaxed La2Re2Si2C crystal. The functional is PBE.

Properties
Crystal system ... monoclinic
E_form ... -0.549 eV/atom
Theoretical density ... 8.829 g/cm3
Space-group type ... C2/m

abc: 6.0444 6.0444 7.3258
angles: 54.40 54.40 40.03
Atoms (fractional coordinates):
Si1 0.1574 0.1574 0.2875
Si2 0.8426 0.8426 0.7125
C1 0.0000 0.0000 0.0000
La1 0.5694 0.5694 0.6968
La2 0.4306 0.4306 0.3032
Re1 0.2012 0.2012 0.9137
Re2 0.7988 0.7988 0.0863



No. 2
This record from the Materials Project database describes a relaxed LaRhC2 crystal. The functional is PBE.

Properties
Crystal system ... tetragonal
E_form ... -0.330 eV/atom
Theoretical density ... 7.188 g/cm3
Space-group type ... P4_1

abc: 3.9913 3.9913 15.4194
angles: 90.00 90.00 90.00
Atoms (fractional coordinates):
C1 0.3462 0.1535 0.2635
C2 0.8465 0.3462 0.5135
C3 0.6494 0.3343 0.5850
C4 0.3343 0.3506 0.3350
C5 0.1535 0.6538 0.0135
C6 0.6657 0.6494 0.8350
C7 0.3506 0.6657 0.0850
C8 0.6538 0.8465 0.7635
La1 0.8516 0.8510 0.3758
La2 0.1490 0.8516 0.6258
La3 0.8510 0.1484 0.1258
La4 0.1484 0.1490 0.8758
Rh1 0.3528 0.6591 0.2195
Rh2 0.6472 0.3409 0.7195
Rh3 0.3409 0.3528 0.4695
Rh4 0.6591 0.6472 0.9695



No. 3
This record from the Materials Project database describes a relaxed LaTbC4 crystal. The functional is PBE.

Properties
Crystal system ... monoclinic
E_form ... -0.168 eV/atom
Theoretical density ... 6.174 g/cm3
Space-group type ... C2/m

abc: 4.2050 4.2050 7.4095
angles: 65.21 65.21 53.54
Atoms (fractional coordinates):
C1 0.8078 0.8078 0.7821
C2 0.2965 0.2965 0.3173
C3 0.1922 0.1922 0.2179
C4 0.7035 0.7035 0.6827
La1 0.0000 0.0000 0.0000
Tb1 0.5000 0.5000 0.5000



No. 4
This record from the Materials Project database describes a relaxed La4YC10 crystal. The functional is PBE.

Properties
Crystal system ... orthorhombic
E_form ... -0.142 eV/atom
Theoretical density ... 5.134 g/cm3
Space-group type ... Fmmm

abc: 14.0434 13.9410 4.2812
angles: 82.56 79.85 17.59
Atoms (fractional coordinates):
La1 0.1997 0.1997 0.8003
La2 0.4008 0.4008 0.5992
La3 0.5992 0.5992 0.4008
La4 0.8003 0.8003 0.1997
C1 0.6002 0.3998 0.6002
C2 0.1957 0.9963 0.0037
C3 0.0037 0.8043 0.1957
C4 0.3997 0.2004 0.7996
C5 0.8043 0.0037 0.9963
C6 0.7996 0.6003 0.3997
C7 0.9963 0.1957 0.8043
C8 0.6003 0.7996 0.2004
C9 0.3998 0.6002 0.3998
C10 0.2004 0.3997 0.6003
Y1 0.0000 0.0000 0.0000



No. 5
This record from the Materials Project database describes a relaxed LaY2C6 crystal. The functional is PBE.

Properties
Crystal system ... monoclinic
E_form ... -0.173 eV/atom
Theoretical density ... 4.759 g/cm3
Space-group type ... C2/m

abc: 4.1394 4.1394 9.9220
angles: 82.39 82.39 53.79
Atoms (fractional coordinates):
Y1 0.6688 0.6688 0.3360
Y2 0.3312 0.3312 0.6640
C1 0.4023 0.4023 0.2180
C2 0.0701 0.0701 0.5323
C3 0.2649 0.2649 0.1493
C4 0.5977 0.5977 0.7820
C5 0.9299 0.9299 0.4677
C6 0.7351 0.7351 0.8507
La1 0.0000 0.0000 0.0000



No. 6
This record from the Materials Project database describes a relaxed Li2C crystal. The functional is PBE.

Properties
Crystal system ... cubic
E_form ... 0.913 eV/atom
Theoretical density ... 1.229 g/cm3
Space-group type ... Fm-3m

abc: 3.6710 3.6710 3.6710
angles: 60.00 60.00 60.00
Atoms (fractional coordinates):
C1 0.0000 0.0000 0.0000
Li1 0.7500 0.7500 0.7500
Li2 0.2500 0.2500 0.2500



No. 7
This record from the Materials Project database describes a relaxed Li2LuPCO7 crystal. The functional is PBE.

Properties
Crystal system ... monoclinic
E_form ... -2.798 eV/atom
Theoretical density ... 3.897 g/cm3
Space-group type ... P2_1/m

abc: 6.7093 4.8912 8.9351
angles: 87.99 90.00 90.00
Atoms (fractional coordinates):
O1 0.7500 0.2187 0.4162
O2 0.0631 0.8430 0.3350
O3 0.7500 0.9778 0.1242
O4 0.2500 0.4745 0.8483
O5 0.2500 0.0222 0.8758
O6 0.7500 0.7198 0.9175
O7 0.7500 0.5255 0.1517
O8 0.4369 0.8430 0.3350
O9 0.2500 0.4031 0.4058
O10 0.2500 0.2802 0.0825
O11 0.7500 0.5969 0.5942
O12 0.9369 0.1570 0.6650
O13 0.5631 0.1570 0.6650
O14 0.2500 0.7813 0.5838
Lu1 0.2500 0.2479 0.6408
Lu2 0.7500 0.7521 0.3592
C1 0.7500 0.7419 0.0583
C2 0.2500 0.2581 0.9417
Li1 0.9921 0.7921 0.7939
Li2 0.4921 0.2079 0.2061
Li3 0.0079 0.2079 0.2061
Li4 0.5079 0.7921 0.7939
P1 0.7500 0.2792 0.5885
P2 0.2500 0.7208 0.4115



No. 8
This record from the Materials Project database describes a relaxed LiMg14C crystal. The functional is PBE.

Properties
Crystal system ... hexagonal
E_form ... 0.268 eV/atom
Energy above the lowest structure with this stoichiometry ... 0.80 eV per formula unit
Theoretical density ... 1.772 g/cm3
Space-group type ... P-6m2

abc: 6.2679 6.2679 9.8943
angles: 90.00 90.00 120.00
Atoms (fractional coordinates):
Mg1 0.1600 0.8300 0.6250
Mg2 0.1733 0.8366 0.1250
Mg3 0.8481 0.1740 0.8613
Mg4 0.3260 0.1740 0.8613
Mg5 0.6700 0.8300 0.6250
Mg6 0.6634 0.8366 0.1250
Mg7 0.3260 0.6519 0.3887
Mg8 0.8481 0.1740 0.3887
Mg9 0.6700 0.3400 0.6250
Mg10 0.6634 0.3267 0.1250
Mg11 0.3260 0.1740 0.3887
Mg12 0.8333 0.6667 0.3705
Mg13 0.3260 0.6519 0.8613
Mg14 0.8333 0.6667 0.8795
C1 0.1667 0.3333 0.6250
Li1 0.1667 0.3333 0.1250



Number 2 is which compound?
LaRhC2



Please write out number 4 again, unchanged.
This record from the Materials Project database describes a relaxed La4YC10 crystal. The functional is PBE.

Properties
Crystal system ... orthorhombic
E_form ... -0.142 eV/atom
Theoretical density ... 5.134 g/cm3
Space-group type ... Fmmm

abc: 14.0434 13.9410 4.2812
angles: 82.56 79.85 17.59
Atoms (fractional coordinates):
La1 0.1997 0.1997 0.8003
La2 0.4008 0.4008 0.5992
La3 0.5992 0.5992 0.4008
La4 0.8003 0.8003 0.1997
C1 0.6002 0.3998 0.6002
C2 0.1957 0.9963 0.0037
C3 0.0037 0.8043 0.1957
C4 0.3997 0.2004 0.7996
C5 0.8043 0.0037 0.9963
C6 0.7996 0.6003 0.3997
C7 0.9963 0.1957 0.8043
C8 0.6003 0.7996 0.2004
C9 0.3998 0.6002 0.3998
C10 0.2004 0.3997 0.6003
Y1 0.0000 0.0000 0.0000